[1]
An optimized crystal structure of Mg6MnSnO8, computed with PBE with a Hubbard U.

Lattice parameters (Å, degrees): 4.4778 4.4778 8.8786 90.00 90.00 90.00
Fractional positions:
Mg: 0.0000 0.0000 0.0000
Mg: 0.0000 0.0000 0.5000
Mg: 0.0000 0.5000 0.2400
Mg: 0.0000 0.5000 0.7600
Mg: 0.5000 0.0000 0.2400
Mg: 0.5000 0.0000 0.7600
Mn: 0.5000 0.5000 0.0000
Sn: 0.5000 0.5000 0.5000
O: 0.0000 0.0000 0.2484
O: 0.0000 0.0000 0.7516
O: 0.0000 0.5000 0.0000
O: 0.0000 0.5000 0.5000
O: 0.5000 0.0000 0.0000
O: 0.5000 0.0000 0.5000
O: 0.5000 0.5000 0.2342
O: 0.5000 0.5000 0.7658

Results
The value obtained for the total magnetization is 4.9 μB per formula unit. As for the crystal system: tetragonal. For the energy above the lowest structure with this stoichiometry, the calculation gives 0.020 eV per atom.

***

[2]
An optimized crystal structure of MgMn3SnO8, computed with PBE with a Hubbard U.

Lattice parameters (Å, degrees): 6.0924 6.0924 6.4340 120.33 120.33 58.97
Fractional positions:
Mg: 0.0000 0.0000 0.0000
Mn: 0.0000 0.5000 0.0000
Mn: 0.5000 0.0000 0.0000
Mn: 0.5000 0.5000 0.5000
Sn: 0.5000 0.5000 0.0000
O: 0.2314 0.7192 0.2022
O: 0.2487 0.2487 0.1959
O: 0.2552 0.2552 0.8060
O: 0.2808 0.7686 0.7978
O: 0.7192 0.2314 0.2022
O: 0.7448 0.7448 0.1940
O: 0.7513 0.7513 0.8041
O: 0.7686 0.2808 0.7978

Results
The value obtained for the total magnetization is 11.0 μB per formula unit. As for the crystal system: monoclinic. For the energy above the lowest structure with this stoichiometry, the calculation gives 0.013 eV per atom.

***

[3]
An optimized crystal structure of Sr8MgMn6O20, computed with PBE with a Hubbard U.

Lattice parameters (Å, degrees): 6.7750 6.7750 13.5983 90.60 90.60 48.71
Fractional positions:
Sr: 0.0000 0.0000 0.0000
Sr: 0.0336 0.0336 0.4695
Sr: 0.2563 0.2563 0.7155
Sr: 0.2804 0.2804 0.0103
Sr: 0.5054 0.5054 0.2451
Sr: 0.5469 0.5469 0.6796
Sr: 0.7495 0.7495 0.4918
Sr: 0.7973 0.7973 0.2233
Mg: 0.4909 0.4909 0.8825
Mn: 0.1373 0.1373 0.2081
Mn: 0.2693 0.2693 0.3545
Mn: 0.3976 0.3976 0.5035
Mn: 0.6386 0.6386 0.0194
Mn: 0.7719 0.7719 0.8605
Mn: 0.9111 0.9111 0.7045
O: 0.0606 0.0606 0.6827
O: 0.1438 0.6320 0.5998
O: 0.1448 0.6432 0.8248
O: 0.1461 0.6107 0.3898
O: 0.2346 0.2346 0.4919
O: 0.3046 0.3046 0.2172
O: 0.3835 0.9297 0.3173
O: 0.4067 0.9039 0.1149
O: 0.4101 0.8592 0.9111
O: 0.4823 0.4823 0.0275
O: 0.5512 0.5512 0.5046
O: 0.6107 0.1461 0.3898
O: 0.6320 0.1438 0.5998
O: 0.6432 0.1448 0.8248
O: 0.7434 0.7434 0.7209
O: 0.7986 0.7986 0.0018
O: 0.8592 0.4101 0.9111
O: 0.9039 0.4067 0.1149
O: 0.9297 0.3835 0.3173
O: 0.9893 0.9893 0.1972

Results
The value obtained for the total magnetization is 20.0 μB per formula unit. As for the crystal system: monoclinic. For the energy above the lowest structure with this stoichiometry, the calculation gives 0.007 eV per atom.

***

[4]
An optimized crystal structure of Sr8MgMn6O20, computed with PBE with a Hubbard U.

Lattice parameters (Å, degrees): 5.7582 6.7265 13.6227 87.97 85.00 68.25
Fractional positions:
Sr: 0.0000 0.0000 0.0000
Sr: 0.0121 0.1189 0.7426
Sr: 0.3023 0.5347 0.7728
Sr: 0.3754 0.5423 0.3355
Sr: 0.5867 0.1133 0.5276
Sr: 0.6950 0.5970 0.9906
Sr: 0.7905 0.8395 0.2798
Sr: 0.8530 0.5379 0.5364
Mg: 0.3596 0.0963 0.1663
Mn: 0.1062 0.0665 0.3785
Mn: 0.2315 0.8071 0.5381
Mn: 0.3202 0.3411 0.0127
Mn: 0.5022 0.0618 0.8738
Mn: 0.6825 0.8003 0.7283
Mn: 0.8728 0.2819 0.2211
O: 0.0053 0.8225 0.4305
O: 0.0592 0.2913 0.0992
O: 0.0610 0.1416 0.5190
O: 0.1448 0.3084 0.3021
O: 0.1479 0.9585 0.2431
O: 0.1651 0.2663 0.8870
O: 0.2324 0.6276 0.0228
O: 0.3921 0.5065 0.5241
O: 0.3976 0.8400 0.8331
O: 0.4426 0.8907 0.4032
O: 0.4664 0.8392 0.6224
O: 0.4755 0.9993 0.0168
O: 0.5433 0.1281 0.7365
O: 0.6099 0.2882 0.9174
O: 0.6705 0.1556 0.1629
O: 0.6810 0.5653 0.2084
O: 0.7551 0.2222 0.3532
O: 0.7957 0.5024 0.7188
O: 0.8413 0.8407 0.8491
O: 0.9606 0.8070 0.6442

Results
The value obtained for the total magnetization is 20.0 μB per formula unit. As for the crystal system: triclinic. For the energy above the lowest structure with this stoichiometry, the calculation gives 0.038 eV per atom.

***

[5]
An optimized crystal structure of Sr8MgMn6O20, computed with PBE with a Hubbard U.

Lattice parameters (Å, degrees): 5.6010 6.7124 13.8188 91.45 91.64 112.34
Fractional positions:
Sr: 0.0000 0.0000 0.0000
Sr: 0.0195 0.8993 0.2608
Sr: 0.2014 0.4060 0.7970
Sr: 0.2575 0.4739 0.2223
Sr: 0.4674 0.9765 0.8040
Sr: 0.5985 0.8571 0.4370
Sr: 0.6639 0.3923 0.6012
Sr: 0.7297 0.4255 0.0287
Mg: 0.2474 0.7586 0.5871
Mn: 0.1572 0.2205 0.4878
Mn: 0.3503 0.6882 0.9947
Mn: 0.5169 0.9653 0.1397
Mn: 0.6730 0.2309 0.2987
Mn: 0.8307 0.6724 0.8036
Mn: 0.8899 0.9593 0.6561
O: 0.0133 0.8901 0.5151
O: 0.0683 0.6761 0.7060
O: 0.0890 0.6986 0.9060
O: 0.1584 0.2281 0.6305
O: 0.1645 0.7456 0.1041
O: 0.2074 0.3915 0.9968
O: 0.2923 0.5280 0.5010
O: 0.4091 0.1858 0.1868
O: 0.4658 0.1957 0.4058
O: 0.4958 0.8790 0.2697
O: 0.5125 0.0231 0.0013
O: 0.5816 0.0127 0.6031
O: 0.5907 0.6968 0.8983
O: 0.6121 0.6962 0.7010
O: 0.6129 0.7281 0.0968
O: 0.6808 0.3688 0.7985
O: 0.8197 0.5192 0.2866
O: 0.8543 0.1629 0.1655
O: 0.9478 0.1808 0.3664
O: 0.9810 0.0024 0.8020

Results
The value obtained for the total magnetization is 19.9 μB per formula unit. As for the crystal system: triclinic. For the energy above the lowest structure with this stoichiometry, the calculation gives 0.029 eV per atom.

***

[6]
An optimized crystal structure of Sr3MgMn2O7, computed with PBE with a Hubbard U.

Lattice parameters (Å, degrees): 10.3212 10.3212 10.3212 158.69 151.09 36.20
Fractional positions:
Sr: 0.0000 0.0000 0.0000
Sr: 0.1784 0.1784 0.0000
Sr: 0.8216 0.8216 0.0000
Mg: 0.5000 0.0000 0.5000
Mn: 0.3908 0.3908 0.0000
Mn: 0.6092 0.6092 0.0000
O: 0.0918 0.5918 0.5000
O: 0.2983 0.2983 0.0000
O: 0.4026 0.9026 0.5000
O: 0.5000 0.5000 0.0000
O: 0.5974 0.0974 0.5000
O: 0.7017 0.7017 0.0000
O: 0.9082 0.4082 0.5000

Results
The value obtained for the total magnetization is 8.0 μB per formula unit. As for the crystal system: orthorhombic. For the energy above the lowest structure with this stoichiometry, the calculation gives 0.360 eV per atom.

***

[7]
An optimized crystal structure of Sr8MgMn6O20, computed with PBE with a Hubbard U.

Lattice parameters (Å, degrees): 5.7116 6.7661 13.6704 87.73 86.06 65.69
Fractional positions:
Sr: 0.0000 0.0000 0.0000
Sr: 0.0067 0.8835 0.2527
Sr: 0.2882 0.4242 0.0151
Sr: 0.3357 0.4545 0.5922
Sr: 0.5244 0.0080 0.7907
Sr: 0.6493 0.8622 0.5441
Sr: 0.7584 0.4489 0.2066
Sr: 0.8118 0.4329 0.7831
Mg: 0.4132 0.6890 0.3936
Mn: 0.0838 0.9633 0.6448
Mn: 0.1763 0.7011 0.7979
Mn: 0.3859 0.2036 0.3072
Mn: 0.4943 0.9512 0.1387
Mn: 0.6576 0.6914 0.9869
Mn: 0.8958 0.2084 0.4728
O: 0.0091 0.0295 0.7831
O: 0.0604 0.2272 0.3526
O: 0.1446 0.8778 0.4985
O: 0.1534 0.1530 0.1486
O: 0.2367 0.1518 0.6199
O: 0.3122 0.5044 0.3120
O: 0.3356 0.3980 0.7957
O: 0.3879 0.7262 0.8918
O: 0.4008 0.7213 0.1000
O: 0.4078 0.7346 0.6885
O: 0.4857 0.8726 0.2822
O: 0.5152 0.0181 0.9991
O: 0.6050 0.1649 0.1842
O: 0.6394 0.1137 0.4007
O: 0.6855 0.5144 0.4787
O: 0.7606 0.1653 0.6059
O: 0.7920 0.3887 0.9812
O: 0.8610 0.7358 0.1149
O: 0.9077 0.7131 0.8898
O: 0.9455 0.7355 0.6815

Results
The value obtained for the total magnetization is 20.0 μB per formula unit. As for the crystal system: triclinic. For the energy above the lowest structure with this stoichiometry, the calculation gives 0.009 eV per atom.

***

[8]
An optimized crystal structure of Sr3MgMn2O7, computed with PBE with a Hubbard U.

Lattice parameters (Å, degrees): 3.8116 3.9854 11.7243 90.03 90.20 90.00
Fractional positions:
Sr: 0.0000 0.0000 0.0000
Sr: 0.0036 0.0008 0.2983
Sr: 0.5105 0.4996 0.5201
Mg: 0.5036 0.5018 0.8079
Mn: 0.0058 0.0017 0.6948
Mn: 0.5014 0.5008 0.1487
O: 0.0014 0.5007 0.1465
O: 0.0039 0.5017 0.7202
O: 0.0083 0.0018 0.5171
O: 0.5011 0.0008 0.1477
O: 0.5009 0.5001 0.9753
O: 0.5027 0.5023 0.3191
O: 0.5071 0.0017 0.7699

Results
The value obtained for the total magnetization is 8.0 μB per formula unit. As for the crystal system: triclinic. For the energy above the lowest structure with this stoichiometry, the calculation gives 0.000 eV per atom.

***

[9]
An optimized crystal structure of Sr8MgMn6O20, computed with PBE with a Hubbard U.

Lattice parameters (Å, degrees): 5.5591 6.7692 13.7476 88.73 89.18 66.19
Fractional positions:
Sr: 0.0000 0.0000 0.0000
Sr: 0.0017 0.9535 0.3001
Sr: 0.2351 0.5070 0.5356
Sr: 0.2954 0.4152 0.9608
Sr: 0.4732 0.0221 0.7720
Sr: 0.5189 0.9213 0.5094
Sr: 0.7417 0.5227 0.2906
Sr: 0.7607 0.4498 0.7558
Mg: 0.2305 0.5327 0.1664
Mn: 0.1252 0.7238 0.7870
Mn: 0.3739 0.2412 0.3069
Mn: 0.5164 0.9826 0.1492
Mn: 0.6456 0.6894 0.9844
Mn: 0.8589 0.2435 0.4934
Mn: 0.9903 0.9792 0.6386
O: 0.0255 0.9091 0.5023
O: 0.1036 0.2200 0.3922
O: 0.1098 0.2028 0.5981
O: 0.1758 0.2388 0.1869
O: 0.2188 0.5526 0.3101
O: 0.2711 0.4184 0.7862
O: 0.3291 0.7600 0.6721
O: 0.3773 0.7369 0.8716
O: 0.3881 0.6778 0.0797
O: 0.4834 0.0237 0.0092
O: 0.5156 0.9233 0.2914
O: 0.6061 0.2073 0.4109
O: 0.6175 0.2513 0.2108
O: 0.6543 0.2023 0.6055
O: 0.7092 0.5392 0.4846
O: 0.8092 0.3891 0.9580
O: 0.8635 0.7625 0.6764
O: 0.8663 0.7604 0.1346
O: 0.8848 0.7502 0.8921
O: 0.9634 0.0477 0.7738

Results
The value obtained for the total magnetization is 20.0 μB per formula unit. As for the crystal system: triclinic. For the energy above the lowest structure with this stoichiometry, the calculation gives 0.000 eV per atom.

***

[10]
An optimized crystal structure of Sr8MgMn6O20, computed with PBE with a Hubbard U.

Lattice parameters (Å, degrees): 5.5330 6.6531 14.2566 93.98 90.30 113.37
Fractional positions:
Sr: 0.0000 0.0000 0.0000
Sr: 0.0229 0.0256 0.4396
Sr: 0.2346 0.4553 0.1943
Sr: 0.3107 0.6090 0.4586
Sr: 0.5229 0.0413 0.2348
Sr: 0.5663 0.0445 0.6491
Sr: 0.7232 0.4269 0.9898
Sr: 0.8523 0.6257 0.7046
Mg: 0.4315 0.9351 0.8460
Mn: 0.1765 0.2840 0.6595
Mn: 0.2687 0.4578 0.8391
Mn: 0.3637 0.7178 0.0035
Mn: 0.6717 0.3164 0.4778
Mn: 0.7690 0.5291 0.3290
Mn: 0.8877 0.7656 0.1881
O: 0.0289 0.0641 0.1832
O: 0.0290 0.9813 0.6275
O: 0.1062 0.7458 0.2938
O: 0.1168 0.6910 0.9001
O: 0.1266 0.7345 0.0983
O: 0.2019 0.3966 0.9994
O: 0.3822 0.7054 0.7279
O: 0.4187 0.2349 0.8034
O: 0.4332 0.3223 0.3660
O: 0.4718 0.3733 0.5795
O: 0.5168 0.0092 0.4775
O: 0.5223 0.0292 0.9866
O: 0.5849 0.6882 0.9034
O: 0.6197 0.7238 0.0959
O: 0.6493 0.7481 0.2913
O: 0.7265 0.4314 0.1960
O: 0.8191 0.6320 0.4581
O: 0.8943 0.3168 0.3676
O: 0.9503 0.3574 0.5651
O: 0.9568 0.2889 0.7636

Results
The value obtained for the total magnetization is 20.0 μB per formula unit. As for the crystal system: triclinic. For the energy above the lowest structure with this stoichiometry, the calculation gives 0.027 eV per atom.

***

[11]
An optimized crystal structure of Sr8MgMn6O20, computed with PBE with a Hubbard U.

Lattice parameters (Å, degrees): 5.5953 6.8058 14.1104 87.67 86.48 65.92
Fractional positions:
Sr: 0.0000 0.0000 0.0000
Sr: 0.0371 0.0375 0.5926
Sr: 0.2798 0.6022 0.3575
Sr: 0.3228 0.4611 0.6076
Sr: 0.5131 0.0259 0.8198
Sr: 0.5795 0.0071 0.4127
Sr: 0.7153 0.5922 0.0965
Sr: 0.7981 0.4585 0.8169
Mg: 0.8247 0.0640 0.2040
Mn: 0.1522 0.7544 0.8091
Mn: 0.2732 0.5026 0.9596
Mn: 0.3533 0.2745 0.1182
Mn: 0.6662 0.7695 0.6236
Mn: 0.8114 0.5171 0.4770
Mn: 0.9448 0.2782 0.3258
O: 0.0049 0.9806 0.3215
O: 0.0440 0.2536 0.1853
O: 0.1593 0.3078 0.4471
O: 0.1732 0.5980 0.0893
O: 0.1766 0.2737 0.9974
O: 0.3362 0.4258 0.8233
O: 0.3966 0.7246 0.9182
O: 0.4067 0.7538 0.7154
O: 0.4544 0.7314 0.5031
O: 0.5020 0.3277 0.2280
O: 0.5232 0.0718 0.6242
O: 0.5957 0.3261 0.0147
O: 0.6141 0.9799 0.1219
O: 0.6948 0.3085 0.4411
O: 0.8032 0.5925 0.3405
O: 0.8217 0.4422 0.6130
O: 0.9261 0.7399 0.7195
O: 0.9266 0.7379 0.5140
O: 0.9329 0.7073 0.9157
O: 0.9870 0.0603 0.8198

Results
The value obtained for the total magnetization is 20.0 μB per formula unit. As for the crystal system: triclinic. For the energy above the lowest structure with this stoichiometry, the calculation gives 0.013 eV per atom.

***

[12]
An optimized crystal structure of Sr3MgMn2O7, computed with PBE with a Hubbard U.

Lattice parameters (Å, degrees): 13.0107 13.0107 13.0107 163.30 163.30 23.70
Fractional positions:
Sr: 0.0000 0.0000 0.0000
Sr: 0.1578 0.1578 0.0000
Sr: 0.8422 0.8422 0.0000
Mg: 0.2500 0.7500 0.5000
Mn: 0.4190 0.4190 0.0000
Mn: 0.5810 0.5810 0.0000
O: 0.0942 0.5942 0.5000
O: 0.2907 0.2907 0.0000
O: 0.4058 0.9058 0.5000
O: 0.5000 0.5000 0.0000
O: 0.5920 0.0920 0.5000
O: 0.7093 0.7093 0.0000
O: 0.9080 0.4080 0.5000

Results
The value obtained for the total magnetization is 8.0 μB per formula unit. As for the crystal system: tetragonal. For the energy above the lowest structure with this stoichiometry, the calculation gives 0.181 eV per atom.